PBE-GGA CaInPd, optimized geometry; space-group type = Pnma, No. 62; ρ = 6.23 g/cm3; E_form = -0.698 eV per atom
1.0
7.429 0.000 0.000
0.000 4.356 0.000
0.000 0.000 8.616
Ca In Pd
4 4 4
Direct
0.032 0.250 0.177
0.468 0.750 0.677
0.532 0.250 0.323
0.968 0.750 0.823
0.146 0.250 0.562
0.354 0.750 0.062
0.646 0.250 0.938
0.854 0.750 0.438
0.232 0.750 0.371
0.268 0.250 0.871
0.732 0.750 0.129
0.768 0.250 0.629

=====

PBE-GGA Ca2InPd2, optimized geometry; space-group type = C2/c, No. 15; ρ = 5.74 g/cm3; E_form = -0.726 eV per atom
1.0
5.128 -2.886 0.000
5.128 2.886 0.000
-2.097 0.000 7.965
Ca In Pd
4 2 4
Direct
0.004 0.294 0.150
0.294 0.004 0.650
0.706 0.996 0.350
0.996 0.706 0.850
0.348 0.652 0.250
0.652 0.348 0.750
0.228 0.504 0.497
0.496 0.772 0.003
0.504 0.228 0.997
0.772 0.496 0.503

=====

PBE-GGA CaIn2Pt, optimized geometry; space-group type = Cmcm, No. 63; ρ = 8.27 g/cm3; E_form = -0.689 eV per atom
1.0
2.226 -5.266 0.000
2.226 5.266 0.000
0.000 0.000 7.958
Ca In Pt
2 4 2
Direct
0.067 0.933 0.750
0.933 0.067 0.250
0.356 0.644 0.551
0.356 0.644 0.949
0.644 0.356 0.051
0.644 0.356 0.449
0.217 0.783 0.250
0.783 0.217 0.750

=====

PBE-GGA CaInRh, optimized geometry; space-group type = Pnma, No. 62; ρ = 6.36 g/cm3; E_form = -0.541 eV per atom
1.0
7.349 0.000 0.000
0.000 4.365 0.000
0.000 0.000 8.388
Ca In Rh
4 4 4
Direct
0.025 0.250 0.176
0.475 0.750 0.676
0.525 0.250 0.324
0.975 0.750 0.824
0.151 0.250 0.566
0.349 0.750 0.066
0.651 0.250 0.934
0.849 0.750 0.434
0.223 0.750 0.376
0.277 0.250 0.876
0.723 0.750 0.124
0.777 0.250 0.624

=====

PBE-GGA CaIn4Rh, optimized geometry; space-group type = Pmma, No. 51; ρ = 7.01 g/cm3; E_form = -0.393 eV per atom
1.0
8.780 0.000 0.000
0.000 4.285 0.000
0.000 0.000 7.587
Ca In Rh
2 8 2
Direct
0.250 0.000 0.100
0.750 0.000 0.900
0.000 0.000 0.500
0.064 0.500 0.814
0.250 0.500 0.433
0.436 0.500 0.814
0.500 0.000 0.500
0.564 0.500 0.186
0.750 0.500 0.567
0.936 0.500 0.186
0.250 0.000 0.694
0.750 0.000 0.306

=====

PBE-GGA CaIn2S4, optimized geometry; space-group type = Imma, No. 74; ρ = 3.79 g/cm3; E_form = -1.245 eV per atom; spin magnetization = 0.00 μB per formula unit
1.0
-3.912 4.009 5.557
3.912 -4.009 5.557
3.912 4.009 -5.557
Ca In S
2 4 8
Direct
0.500 0.000 0.000
0.500 0.500 0.500
0.000 0.000 0.000
0.114 0.364 0.750
0.500 0.000 0.500
0.886 0.636 0.250
0.245 0.238 0.006
0.249 0.232 0.483
0.249 0.766 0.017
0.268 0.762 0.506
0.732 0.238 0.494
0.751 0.234 0.983
0.751 0.768 0.517
0.755 0.762 0.994

=====

Which of these has the highest ρ?
CaIn2Pt

=====

Which formula does entry 1 have?
CaInPd

=====

Number 6 is which compound?
CaIn2S4

=====

E_form of number 5 (CaIn4Rh)?
-0.393 eV per atom